1.
{"formula": "PrErCo17", "functional": "PBE", "state": "relaxed", "lattice": [[4.181, 2.414, 4.037], [-4.181, 2.414, 4.037], [0.000, -4.828, 4.037]], "species": ["Pr", "Er", "Co", "Co", "Co", "Co", "Co", "Co", "Co", "Co", "Co", "Co", "Co", "Co", "Co", "Co", "Co", "Co", "Co"], "fractional_positions": [[0.000, 0.000, 0.000], [0.689, 0.689, 0.689], [0.000, 0.000, 0.497], [0.000, 0.497, 0.000], [0.060, 0.348, 0.632], [0.060, 0.632, 0.348], [0.198, 0.690, 0.690], [0.251, 0.251, 0.251], [0.348, 0.060, 0.632], [0.348, 0.632, 0.060], [0.349, 0.349, 0.845], [0.349, 0.845, 0.349], [0.444, 0.444, 0.444], [0.497, 0.000, 0.000], [0.632, 0.060, 0.348], [0.632, 0.348, 0.060], [0.690, 0.198, 0.690], [0.690, 0.690, 0.198], [0.845, 0.349, 0.349]], "sg": "R3m", "e_form_ev_per_atom": -0.07, "e_tot_ev_per_atom": -6.9228, "m_tot_mub_per_cell": 25.22}

2.
{"formula": "UF", "functional": "PBE", "state": "relaxed", "lattice": [[2.980, 0.000, 0.000], [-1.490, 2.580, 0.000], [0.000, 0.000, 4.073]], "species": ["U", "F"], "fractional_positions": [[0.000, 0.000, 0.000], [0.333, 0.667, 0.500]], "energy_mp2020_ev_per_fu": -16.487, "sg": "P-6m2", "e_form_ev_per_atom": -1.64, "e_tot_ev_per_atom": -8.0126, "m_tot_mub_per_cell": 1.35}

3.
{"formula": "ThCo2", "functional": "PBE", "state": "relaxed", "lattice": [[-1.834, 1.834, 3.948], [1.834, -1.834, 3.948], [1.834, 1.834, -3.948]], "species": ["Th", "Co", "Co"], "fractional_positions": [[0.000, 0.000, 0.000], [0.250, 0.750, 0.500], [0.750, 0.250, 0.500]], "sg": "I4/mmm", "e_form_ev_per_atom": 0.13, "e_tot_ev_per_atom": -7.0810, "m_tot_mub_per_cell": 0.03}